Record 1
An optimized crystal structure of SmSiNi4. Source: the Materials Project, functional r2SCAN.

Cell: 4.814 4.814 3.917 Å, 90.00 90.00 116.14°
Fractional positions:
Sm (0.000, 0.000, 0.000)
Si (0.500, 0.500, 0.500)
Ni (0.000, 0.500, 0.500)
Ni (0.342, 0.658, 0.000)
Ni (0.500, 0.000, 0.500)
Ni (0.658, 0.342, 0.000)

Calculated values
Total energy: -89.79 eV/f.u.

Record 2
An optimized crystal structure of ThP2Ru2. Source: the Materials Project, functional r2SCAN.

Cell: 7.555 4.154 10.477 Å, 90.00 90.00 90.00°
Fractional positions:
Th (0.234, 0.250, 0.169)
Th (0.266, 0.750, 0.669)
Th (0.734, 0.250, 0.331)
Th (0.766, 0.750, 0.831)
P (0.030, 0.750, 0.341)
P (0.096, 0.750, 0.969)
P (0.404, 0.250, 0.469)
P (0.470, 0.250, 0.841)
P (0.530, 0.750, 0.159)
P (0.596, 0.750, 0.531)
P (0.904, 0.250, 0.031)
P (0.970, 0.250, 0.659)
Ru (0.111, 0.250, 0.451)
Ru (0.132, 0.250, 0.868)
Ru (0.368, 0.750, 0.368)
Ru (0.389, 0.750, 0.951)
Ru (0.611, 0.250, 0.049)
Ru (0.632, 0.250, 0.632)
Ru (0.868, 0.750, 0.132)
Ru (0.889, 0.750, 0.549)

Calculated values
Total energy: -147.97 eV/f.u.

Record 3
An optimized crystal structure of HoSnAu2. Source: the Materials Project, functional r2SCAN.

Cell: 4.924 4.924 4.924 Å, 60.00 60.00 60.00°
Fractional positions:
Ho (0.000, 0.000, 0.000)
Sn (0.500, 0.500, 0.500)
Au (0.250, 0.250, 0.250)
Au (0.750, 0.750, 0.750)

Calculated values
Total energy: -161.65 eV/f.u.

Record 4
An optimized crystal structure of CaYbEu2. Source: the Materials Project, functional r2SCAN.

Cell: 6.001 6.001 6.001 Å, 60.00 60.00 60.00°
Fractional positions:
Ca (0.000, 0.000, 0.000)
Yb (0.500, 0.500, 0.500)
Eu (0.250, 0.250, 0.250)
Eu (0.750, 0.750, 0.750)

Calculated values
Total energy: -119.96 eV/f.u.

Record 5
An optimized crystal structure of Pm3Al. Source: the Materials Project, functional r2SCAN.

Cell: 7.060 7.060 5.332 Å, 90.00 90.00 120.00°
Fractional positions:
Pm (0.179, 0.357, 0.250)
Pm (0.179, 0.821, 0.250)
Pm (0.357, 0.179, 0.750)
Pm (0.643, 0.821, 0.250)
Pm (0.821, 0.179, 0.750)
Pm (0.821, 0.643, 0.750)
Al (0.333, 0.667, 0.750)
Al (0.667, 0.333, 0.250)

Calculated values
Polymorph energy (0 for the lowest one): 0.000 eV per atom
Total energy: -96.31 eV/f.u.

Record 6
An optimized crystal structure of Ti3Tl. Source: the Materials Project, functional r2SCAN.

Cell: 5.274 5.274 5.274 Å, 134.82 134.82 65.81°
Fractional positions:
Ti (0.000, 0.000, 0.000)
Ti (0.250, 0.750, 0.500)
Ti (0.750, 0.250, 0.500)
Tl (0.500, 0.500, 0.000)

Calculated values
Total energy: -92.13 eV/f.u.

Record 7
An optimized crystal structure of PmInPt2. Source: the Materials Project, functional r2SCAN.

Cell: 4.860 4.860 4.860 Å, 60.00 60.00 60.00°
Fractional positions:
Pm (0.000, 0.000, 0.000)
In (0.500, 0.500, 0.500)
Pt (0.250, 0.250, 0.250)
Pt (0.750, 0.750, 0.750)

Calculated values
Total energy: -158.77 eV/f.u.

Record 8
An optimized crystal structure of AgPt4. Source: the Materials Project, functional r2SCAN.

Cell: 11.858 11.858 11.858 Å, 13.42 13.42 13.42°
Fractional positions:
Ag (0.000, 0.000, 0.000)
Pt (0.199, 0.199, 0.199)
Pt (0.401, 0.401, 0.401)
Pt (0.599, 0.599, 0.599)
Pt (0.801, 0.801, 0.801)

Calculated values
Total energy: -227.43 eV/f.u.

Record 9
An optimized crystal structure of MnH8Br2O4. Source: the Materials Project, functional r2SCAN.

Cell: 6.191 9.667 12.176 Å, 90.00 110.74 90.00°
Fractional positions:
Mn (0.250, 0.166, 0.236)
Mn (0.250, 0.334, 0.736)
Mn (0.750, 0.666, 0.264)
Mn (0.750, 0.834, 0.764)
H (0.010, 0.648, 0.122)
H (0.010, 0.852, 0.622)
H (0.021, 0.565, 0.598)
H (0.021, 0.935, 0.098)
H (0.074, 0.518, 0.201)
H (0.074, 0.982, 0.701)
H (0.284, 0.571, 0.609)
H (0.284, 0.929, 0.109)
H (0.321, 0.696, 0.291)
H (0.321, 0.804, 0.791)
H (0.380, 0.555, 0.069)
H (0.380, 0.945, 0.569)
H (0.484, 0.205, 0.085)
H (0.484, 0.295, 0.585)
H (0.490, 0.572, 0.852)
H (0.490, 0.928, 0.352)
H (0.510, 0.072, 0.648)
H (0.510, 0.428, 0.148)
H (0.516, 0.705, 0.415)
H (0.516, 0.795, 0.915)
H (0.620, 0.055, 0.431)
H (0.620, 0.445, 0.931)
H (0.679, 0.196, 0.209)
H (0.679, 0.304, 0.709)
H (0.716, 0.071, 0.891)
H (0.716, 0.429, 0.391)
H (0.926, 0.018, 0.299)
H (0.926, 0.482, 0.799)
H (0.979, 0.065, 0.902)
H (0.979, 0.435, 0.402)
H (0.990, 0.148, 0.378)
H (0.990, 0.352, 0.878)
Br (0.036, 0.686, 0.940)
Br (0.036, 0.814, 0.440)
Br (0.350, 0.134, 0.891)
Br (0.350, 0.366, 0.391)
Br (0.650, 0.634, 0.609)
Br (0.650, 0.866, 0.109)
Br (0.964, 0.186, 0.560)
Br (0.964, 0.314, 0.060)
O (0.044, 0.618, 0.203)
O (0.044, 0.882, 0.703)
O (0.172, 0.522, 0.635)
O (0.172, 0.978, 0.135)
O (0.479, 0.731, 0.333)
O (0.479, 0.769, 0.833)
O (0.487, 0.028, 0.363)
O (0.487, 0.472, 0.863)
O (0.513, 0.528, 0.137)
O (0.513, 0.972, 0.637)
O (0.521, 0.231, 0.167)
O (0.521, 0.269, 0.667)
O (0.828, 0.022, 0.865)
O (0.828, 0.478, 0.365)
O (0.956, 0.118, 0.297)
O (0.956, 0.382, 0.797)

Calculated values
Total energy: -109.32 eV/f.u.

Record 10
An optimized crystal structure of Dy2B6Os. Source: the Materials Project, functional r2SCAN.

Cell: 9.148 11.514 3.656 Å, 90.00 90.00 90.00°
Fractional positions:
Dy (0.056, 0.127, 0.000)
Dy (0.178, 0.414, 0.000)
Dy (0.322, 0.914, 0.000)
Dy (0.444, 0.627, 0.000)
Dy (0.556, 0.373, 0.000)
Dy (0.678, 0.086, 0.000)
Dy (0.822, 0.586, 0.000)
Dy (0.944, 0.873, 0.000)
B (0.016, 0.287, 0.500)
B (0.054, 0.567, 0.500)
B (0.111, 0.969, 0.500)
B (0.132, 0.814, 0.500)
B (0.210, 0.233, 0.500)
B (0.247, 0.580, 0.500)
B (0.253, 0.080, 0.500)
B (0.290, 0.733, 0.500)
B (0.368, 0.314, 0.500)
B (0.389, 0.469, 0.500)
B (0.446, 0.067, 0.500)
B (0.484, 0.787, 0.500)
B (0.516, 0.213, 0.500)
B (0.554, 0.933, 0.500)
B (0.611, 0.531, 0.500)
B (0.632, 0.686, 0.500)
B (0.710, 0.267, 0.500)
B (0.747, 0.920, 0.500)
B (0.753, 0.420, 0.500)
B (0.790, 0.767, 0.500)
B (0.868, 0.186, 0.500)
B (0.889, 0.031, 0.500)
B (0.946, 0.433, 0.500)
B (0.984, 0.713, 0.500)
Os (0.137, 0.678, 0.000)
Os (0.363, 0.178, 0.000)
Os (0.637, 0.822, 0.000)
Os (0.863, 0.322, 0.000)

Calculated values
Total energy: -167.60 eV/f.u.

Record 11
An optimized crystal structure of LuHfF7. Source: the Materials Project, functional r2SCAN.

Cell: 5.875 5.578 8.031 Å, 90.00 102.89 90.00°
Fractional positions:
Lu (0.153, 0.000, 0.185)
Lu (0.847, 0.500, 0.815)
Hf (0.314, 0.990, 0.726)
Hf (0.686, 0.490, 0.274)
F (0.038, 0.301, 0.021)
F (0.043, 0.208, 0.711)
F (0.120, 0.694, 0.718)
F (0.255, 0.000, 0.474)
F (0.369, 0.997, 0.979)
F (0.422, 0.265, 0.269)
F (0.445, 0.747, 0.259)
F (0.555, 0.247, 0.741)
F (0.578, 0.765, 0.731)
F (0.631, 0.497, 0.021)
F (0.745, 0.500, 0.526)
F (0.880, 0.194, 0.282)
F (0.957, 0.708, 0.289)
F (0.962, 0.801, 0.979)

Calculated values
Total energy: -143.61 eV/f.u.

Record 12
An optimized crystal structure of Y4CdPt. Source: the Materials Project, functional r2SCAN.

Cell: 9.699 9.699 9.699 Å, 60.00 60.00 60.00°
Fractional positions:
Y (0.186, 0.186, 0.814)
Y (0.186, 0.814, 0.186)
Y (0.186, 0.814, 0.814)
Y (0.398, 0.398, 0.398)
Y (0.398, 0.398, 0.807)
Y (0.398, 0.807, 0.398)
Y (0.560, 0.560, 0.940)
Y (0.560, 0.940, 0.560)
Y (0.560, 0.940, 0.940)
Y (0.807, 0.398, 0.398)
Y (0.814, 0.186, 0.186)
Y (0.814, 0.186, 0.814)
Y (0.814, 0.814, 0.186)
Y (0.940, 0.560, 0.560)
Y (0.940, 0.560, 0.940)
Y (0.940, 0.940, 0.560)
Cd (0.169, 0.169, 0.169)
Cd (0.169, 0.169, 0.494)
Cd (0.169, 0.494, 0.169)
Cd (0.494, 0.169, 0.169)
Pt (0.179, 0.607, 0.607)
Pt (0.607, 0.179, 0.607)
Pt (0.607, 0.607, 0.179)
Pt (0.607, 0.607, 0.607)

Calculated values
Total energy: -156.84 eV/f.u.

Record 13
An optimized crystal structure of La3InS6. Source: the Materials Project, functional r2SCAN.

Cell: 14.005 16.982 4.087 Å, 90.00 90.00 90.00°
Fractional positions:
La (0.036, 0.220, 0.248)
La (0.191, 0.642, 0.246)
La (0.249, 0.390, 0.243)
La (0.251, 0.890, 0.757)
La (0.309, 0.142, 0.754)
La (0.464, 0.720, 0.752)
La (0.536, 0.280, 0.752)
La (0.691, 0.858, 0.754)
La (0.749, 0.110, 0.757)
La (0.751, 0.610, 0.243)
La (0.809, 0.358, 0.246)
La (0.964, 0.780, 0.248)
In (0.000, 0.000, 0.916)
In (0.000, 0.500, 0.747)
In (0.500, 0.000, 0.253)
In (0.500, 0.500, 0.084)
S (0.020, 0.398, 0.247)
S (0.102, 0.912, 0.262)
S (0.107, 0.107, 0.748)
S (0.113, 0.743, 0.747)
S (0.178, 0.282, 0.745)
S (0.186, 0.517, 0.746)
S (0.314, 0.017, 0.254)
S (0.322, 0.782, 0.255)
S (0.387, 0.243, 0.253)
S (0.393, 0.607, 0.252)
S (0.398, 0.412, 0.738)
S (0.480, 0.898, 0.753)
S (0.520, 0.102, 0.753)
S (0.602, 0.588, 0.738)
S (0.607, 0.393, 0.252)
S (0.613, 0.757, 0.253)
S (0.678, 0.218, 0.255)
S (0.686, 0.983, 0.254)
S (0.814, 0.483, 0.746)
S (0.822, 0.718, 0.745)
S (0.887, 0.257, 0.747)
S (0.893, 0.893, 0.748)
S (0.898, 0.088, 0.262)
S (0.980, 0.602, 0.247)

Calculated values
Total energy: -180.83 eV/f.u.

Record 14
An optimized crystal structure of AlAu3. Source: the Materials Project, functional r2SCAN.

Cell: 5.795 5.795 4.609 Å, 90.00 90.00 120.00°
Fractional positions:
Al (0.333, 0.667, 0.250)
Al (0.667, 0.333, 0.750)
Au (0.171, 0.341, 0.750)
Au (0.171, 0.829, 0.750)
Au (0.341, 0.171, 0.250)
Au (0.659, 0.829, 0.750)
Au (0.829, 0.171, 0.250)
Au (0.829, 0.659, 0.250)

Calculated values
Total energy: -159.28 eV/f.u.

Record 15
An optimized crystal structure of LuAl3. Source: the Materials Project, functional r2SCAN.

Cell: 6.090 6.090 4.589 Å, 90.00 90.00 120.00°
Fractional positions:
Lu (0.333, 0.667, 0.250)
Lu (0.667, 0.333, 0.750)
Al (0.150, 0.301, 0.750)
Al (0.150, 0.850, 0.750)
Al (0.301, 0.150, 0.250)
Al (0.699, 0.850, 0.750)
Al (0.850, 0.150, 0.250)
Al (0.850, 0.699, 0.250)

Calculated values
Total energy: -59.99 eV/f.u.

Record 16
An optimized crystal structure of Sm5Ge4. Source: the Materials Project, functional r2SCAN.

Cell: 7.835 14.996 7.908 Å, 90.00 90.00 90.00°
Fractional positions:
Sm (0.039, 0.105, 0.174)
Sm (0.039, 0.395, 0.174)
Sm (0.110, 0.614, 0.339)
Sm (0.110, 0.886, 0.339)
Sm (0.222, 0.250, 0.502)
Sm (0.278, 0.750, 0.002)
Sm (0.390, 0.114, 0.839)
Sm (0.390, 0.386, 0.839)
Sm (0.461, 0.605, 0.674)
Sm (0.461, 0.895, 0.674)
Sm (0.539, 0.105, 0.326)
Sm (0.539, 0.395, 0.326)
Sm (0.610, 0.614, 0.161)
Sm (0.610, 0.886, 0.161)
Sm (0.722, 0.250, 0.998)
Sm (0.778, 0.750, 0.498)
Sm (0.890, 0.114, 0.661)
Sm (0.890, 0.386, 0.661)
Sm (0.961, 0.605, 0.826)
Sm (0.961, 0.895, 0.826)
Ge (0.098, 0.250, 0.887)
Ge (0.162, 0.750, 0.630)
Ge (0.230, 0.046, 0.525)
Ge (0.230, 0.454, 0.525)
Ge (0.270, 0.546, 0.025)
Ge (0.270, 0.954, 0.025)
Ge (0.338, 0.250, 0.130)
Ge (0.402, 0.750, 0.387)
Ge (0.598, 0.250, 0.613)
Ge (0.662, 0.750, 0.870)
Ge (0.730, 0.046, 0.975)
Ge (0.730, 0.454, 0.975)
Ge (0.770, 0.546, 0.475)
Ge (0.770, 0.954, 0.475)
Ge (0.838, 0.250, 0.370)
Ge (0.902, 0.750, 0.113)

Calculated values
Total energy: -212.82 eV/f.u.

Record 17
An optimized crystal structure of Li2MgGe. Source: the Materials Project, functional r2SCAN.

Cell: 4.515 4.515 4.515 Å, 60.00 60.00 60.00°
Fractional positions:
Li (0.000, 0.000, 0.000)
Li (0.250, 0.250, 0.250)
Mg (0.500, 0.500, 0.500)
Ge (0.750, 0.750, 0.750)

Calculated values
Total energy: -24.35 eV/f.u.

| no. | energy of formation (kJ/mol of formula units) |
| --- | --- |
| 1 | -324 |
| 2 | -544 |
| 3 | -275 |
| 4 | 63 |
| 5 | -92 |
| 6 | -13 |
| 7 | -355 |
| 8 | -12 |
| 9 | -1601 |
| 10 | -634 |
| 11 | -3714 |
| 12 | -385 |
| 13 | -2008 |
| 14 | -77 |
| 15 | -165 |
| 16 | -837 |
| 17 | -148 |